# CsInMo2O8

A relaxed CsInMo2O8 crystal (PBE with a Hubbard U, the Materials Project database).

Unit cell a=6.0048 b=9.1791 c=15.4839 alpha=90.00 beta=90.00 gamma=90.00
Element x y z (fractional)
Cs (0.2500, 0.4642, 0.3728)
Cs (0.7500, 0.5358, 0.6272)
Cs (0.7500, 0.9642, 0.1272)
Cs (0.2500, 0.0358, 0.8728)
In (0.2500, 0.3051, 0.1094)
In (0.7500, 0.6949, 0.8906)
In (0.7500, 0.8051, 0.3906)
In (0.2500, 0.1949, 0.6094)
Mo (0.2500, 0.7059, 0.0365)
Mo (0.7500, 0.2941, 0.9635)
Mo (0.7500, 0.2059, 0.4635)
Mo (0.2500, 0.7941, 0.5365)
Mo (0.2500, 0.0039, 0.2850)
Mo (0.7500, 0.9961, 0.7150)
Mo (0.7500, 0.5039, 0.2150)
Mo (0.2500, 0.4961, 0.7850)
O (0.2500, 0.7806, 0.1405)
O (0.7500, 0.2194, 0.8595)
O (0.7500, 0.2806, 0.3595)
O (0.2500, 0.7194, 0.6405)
O (0.2500, 0.5111, 0.0397)
O (0.7500, 0.4889, 0.9603)
O (0.7500, 0.0111, 0.4603)
O (0.2500, 0.9889, 0.5397)
O (0.2500, 0.1400, 0.3626)
O (0.7500, 0.8600, 0.6374)
O (0.7500, 0.6400, 0.1374)
O (0.2500, 0.3600, 0.8626)
O (0.2500, 0.0967, 0.1795)
O (0.7500, 0.9033, 0.8205)
O (0.7500, 0.5967, 0.3205)
O (0.2500, 0.4033, 0.6795)
O (0.9988, 0.3952, 0.1970)
O (0.0012, 0.6048, 0.8030)
O (0.0012, 0.8952, 0.3030)
O (0.4988, 0.6048, 0.8030)
O (0.9988, 0.1048, 0.6970)
O (0.5012, 0.3952, 0.1970)
O (0.5012, 0.1048, 0.6970)
O (0.4988, 0.8952, 0.3030)
O (0.5078, 0.2232, 0.0220)
O (0.4922, 0.7768, 0.9780)
O (0.4922, 0.7232, 0.4780)
O (0.0078, 0.7768, 0.9780)
O (0.5078, 0.2768, 0.5220)
O (0.9922, 0.2232, 0.0220)
O (0.9922, 0.2768, 0.5220)
O (0.0078, 0.7232, 0.4780)

Values from the calculation:
- ΔE_f (eV/atom) = -2.07

# Sr2CeFeO6

A relaxed Sr2CeFeO6 crystal (PBE with a Hubbard U, the Materials Project database).

Unit cell a=5.8695 b=5.8695 c=5.8695 alpha=60.00 beta=60.00 gamma=60.00
Element x y z (fractional)
Sr (0.2500, 0.2500, 0.2500)
Sr (0.7500, 0.7500, 0.7500)
Ce (0.0000, 0.0000, 0.0000)
Fe (0.5000, 0.5000, 0.5000)
O (0.7370, 0.2630, 0.2630)
O (0.2630, 0.7370, 0.7370)
O (0.7370, 0.2630, 0.7370)
O (0.2630, 0.7370, 0.2630)
O (0.7370, 0.7370, 0.2630)
O (0.2630, 0.2630, 0.7370)

Values from the calculation:
- ΔE_f (eV/atom) = -2.84

# Li6V3P8O29

A relaxed Li6V3P8O29 crystal (PBE with a Hubbard U, the Materials Project database).

Unit cell a=9.7549 b=9.8101 c=13.9736 alpha=90.16 beta=90.45 gamma=60.18
Element x y z (fractional)
Li (0.7612, 0.9050, 0.5561)
Li (0.9011, 0.3373, 0.5589)
Li (0.6770, 0.6621, 0.8894)
Li (0.7643, 0.3291, 0.0669)
Li (0.3282, 0.9072, 0.0636)
Li (0.3293, 0.7640, 0.5578)
Li (0.6669, 0.0992, 0.9433)
Li (0.2333, 0.6670, 0.9455)
Li (0.0975, 0.6633, 0.4340)
Li (0.2336, 0.1031, 0.4386)
Li (0.9966, 0.0022, 0.0113)
Li (0.9428, 0.0425, 0.4858)
V (0.5652, 0.4327, 0.2542)
V (0.4381, 0.5613, 0.7470)
V (0.5665, 0.0001, 0.7482)
V (0.4354, 0.0012, 0.2515)
V (0.9977, 0.5625, 0.2424)
V (0.0053, 0.4341, 0.7541)
P (0.9142, 0.7805, 0.8396)
P (0.7800, 0.9113, 0.3402)
P (0.9154, 0.3130, 0.3436)
P (0.6624, 0.6652, 0.1298)
P (0.6689, 0.6657, 0.6301)
P (0.7760, 0.3147, 0.8453)
P (0.6950, 0.2223, 0.6586)
P (0.3169, 0.9053, 0.8456)
P (0.6884, 0.0886, 0.1569)
P (0.3135, 0.7744, 0.3429)
P (0.2252, 0.6877, 0.1586)
P (0.3294, 0.3353, 0.3675)
P (0.3388, 0.3343, 0.8709)
P (0.0823, 0.6878, 0.6524)
P (0.2240, 0.0841, 0.6606)
P (0.0845, 0.2179, 0.1592)
O (0.9969, 0.7718, 0.5617)
O (0.9196, 0.7432, 0.3364)
O (0.7777, 0.0143, 0.0665)
O (0.7417, 0.9226, 0.8409)
O (0.9000, 0.6293, 0.8329)
O (0.8094, 0.6695, 0.1733)
O (0.9213, 0.4643, 0.3332)
O (0.9927, 0.1990, 0.0784)
O (0.9193, 0.3378, 0.8415)
O (0.6784, 0.8121, 0.6689)
O (0.6201, 0.9141, 0.3282)
O (0.8133, 0.5141, 0.6742)
O (0.6609, 0.6662, 0.0217)
O (0.6681, 0.6633, 0.5235)
O (0.6753, 0.5098, 0.1671)
O (0.4810, 0.8917, 0.8297)
O (0.5106, 0.8102, 0.1690)
O (0.7448, 0.3444, 0.3379)
O (0.7888, 0.2005, 0.7587)
O (0.8031, 0.2078, 0.5786)
O (0.7669, 0.2360, 0.9358)
O (0.6266, 0.4794, 0.8292)
O (0.5131, 0.6760, 0.6714)
O (0.6611, 0.2580, 0.1632)
O (0.4700, 0.6227, 0.3317)
O (0.3369, 0.9198, 0.3438)
O (0.7987, 0.9999, 0.2489)
O (0.7866, 0.9912, 0.4310)
O (0.2307, 0.9962, 0.5702)
O (0.6628, 0.0824, 0.6572)
O (0.5405, 0.3808, 0.6639)
O (0.3383, 0.7384, 0.8403)
O (0.4803, 0.3249, 0.3241)
O (0.3850, 0.5363, 0.1713)
O (0.2209, 0.7800, 0.0699)
O (0.2218, 0.7770, 0.4310)
O (0.2036, 0.7983, 0.2504)
O (0.2496, 0.6668, 0.6564)
O (0.4885, 0.1864, 0.8324)
O (0.5338, 0.0855, 0.1684)
O (0.3351, 0.4839, 0.8241)
O (0.3360, 0.3478, 0.9766)
O (0.3212, 0.3372, 0.4746)
O (0.1842, 0.4874, 0.3237)
O (0.3819, 0.0854, 0.6766)
O (0.3186, 0.1887, 0.3284)
O (0.0889, 0.6547, 0.1577)
O (0.9855, 0.8018, 0.7407)
O (0.0094, 0.7894, 0.9208)
O (0.0848, 0.5319, 0.6681)
O (0.1898, 0.3359, 0.8244)
O (0.0838, 0.3740, 0.1643)
O (0.2572, 0.0784, 0.1607)
O (0.2345, 0.9853, 0.9356)
O (0.2062, 0.9978, 0.7533)
O (0.0835, 0.2518, 0.6596)
O (0.9952, 0.2220, 0.4351)
O (0.0107, 0.1953, 0.2578)

Values from the calculation:
- ΔE_f (eV/atom) = -2.65

# LiVF4

A relaxed LiVF4 crystal (PBE with a Hubbard U, the Materials Project database).

Unit cell a=4.5937 b=4.9588 c=11.6820 alpha=90.00 beta=90.00 gamma=90.00
Element x y z (fractional)
Li (0.0000, 0.2500, 0.0541)
Li (0.0000, 0.7500, 0.9459)
Li (0.5000, 0.2500, 0.5541)
Li (0.5000, 0.7500, 0.4459)
V (0.0000, 0.2500, 0.3209)
V (0.0000, 0.7500, 0.6791)
V (0.5000, 0.2500, 0.8209)
V (0.5000, 0.7500, 0.1791)
F (0.2290, 0.4215, 0.1924)
F (0.2290, 0.9215, 0.8076)
F (0.2499, 0.9153, 0.0678)
F (0.2499, 0.4153, 0.9322)
F (0.2501, 0.9153, 0.5678)
F (0.2501, 0.4153, 0.4322)
F (0.2710, 0.9215, 0.3076)
F (0.2710, 0.4215, 0.6924)
F (0.7290, 0.0785, 0.6924)
F (0.7290, 0.5785, 0.3076)
F (0.7499, 0.0847, 0.4322)
F (0.7499, 0.5847, 0.5678)
F (0.7501, 0.5847, 0.0678)
F (0.7501, 0.0847, 0.9322)
F (0.7710, 0.0785, 0.1924)
F (0.7710, 0.5785, 0.8076)

Values from the calculation:
- ΔE_f (eV/atom) = -3.19

Question: What is the ΔE_f in the third record?
Answer: -2.65 eV/atom

Question: What is the formula in the second record?
Answer: Sr2CeFeO6

Question: Which formula does entry 3 have?
Answer: Li6V3P8O29